Run A
The following is a PBE with a Hubbard U calculation of crystalline MgMn4Cu2P6O24 at its relaxed geometry, from the Materials Project.

```
37
Lattice="9.962 -0.283 -0.192 4.751 6.905 -0.341 4.798 1.977 6.645" Properties=species:S:1:pos:R:3 pbc="T T T"
Mg 4.882 1.967 1.725
Mn 2.402 1.262 0.662
Mn 7.318 3.260 2.116
Mn 12.827 5.521 3.834
Mn 16.428 7.483 5.200
Cu 14.493 6.559 -0.511
Cu 9.972 4.301 3.121
P 5.875 6.088 2.566
P 8.640 1.844 4.809
P 9.842 3.088 -0.083
P 9.678 5.536 6.173
P 11.170 6.785 1.360
P 13.350 2.449 3.518
O 4.877 2.953 3.482
O 5.950 3.424 0.682
O 5.968 6.761 1.115
O 6.856 1.331 2.108
O 16.159 6.859 3.436
O 7.049 5.058 2.672
O 7.477 2.073 5.831
O 8.521 3.003 3.706
O 3.820 2.489 0.007
O 9.348 3.521 1.345
O 9.016 6.912 6.144
O 9.677 6.891 1.086
O 10.056 1.916 5.334
O 10.341 1.597 -0.054
O 10.327 5.146 4.841
O 15.859 5.892 6.135
O 11.351 5.737 2.512
O 12.098 6.375 0.195
O 12.412 3.670 3.587
O 2.921 1.887 2.471
O 13.061 7.400 3.823
O 13.205 1.666 4.869
O 13.426 5.217 5.642
O 14.429 5.270 2.489
```

=====

Run B
The following is a PBE with a Hubbard U calculation of crystalline MgMn4Cu2P6O24 at its relaxed geometry, from the Materials Project.

```
37
Lattice="8.344 -0.213 0.463 4.024 7.256 0.409 4.500 2.562 7.821" Properties=species:S:1:pos:R:3 pbc="T T T"
Mg 8.611 7.826 5.328
Mn 2.389 1.389 1.314
Mn 5.977 3.515 2.972
Mn 11.035 6.111 5.888
Mn 14.354 8.227 7.399
Cu 8.318 -0.191 0.469
Cu 8.492 4.738 4.273
P 5.776 6.595 4.046
P 7.281 2.113 6.049
P 8.215 3.057 0.825
P 8.608 6.501 7.912
P 9.418 7.519 2.503
P 11.256 3.089 4.667
O 4.415 3.604 4.041
O 5.065 4.219 1.211
O 5.517 7.255 2.671
O 5.840 1.573 2.772
O 6.671 7.387 5.018
O 6.548 5.250 3.792
O 6.356 2.649 7.184
O 7.500 3.145 4.923
O 3.059 2.878 0.330
O 7.697 3.628 2.173
O 7.969 7.922 7.455
O 4.076 0.444 1.339
O 12.624 8.890 7.057
O 8.864 1.650 1.128
O 9.224 6.073 6.505
O 13.782 6.609 8.176
O 9.202 6.571 3.760
O 10.452 6.915 1.516
O 10.440 4.428 4.839
O 10.638 2.308 3.540
O 10.574 8.131 5.817
O 11.303 2.343 6.057
O 11.611 5.360 7.630
O 12.747 6.149 5.132
```

=====

Compare the structures above. Which one is the least stable? run A is.